Below is an optimized crystal structure of NaMgNiO2, with properties calculated at the GGA+U level.

For the mass density, the calculation gives 3.7 g/cm³. The electronic total energy comes out at -21.85 eV per formula unit. The calculation puts the magnetic moment at 1.002 μB per formula unit. The volume comes out at 62.76 Å³/cell. The calculation puts the formation energy at -1.433 eV/atom.

The space group is P1 (No. 1) and the conventional cell measures 3.1678, 3.3462 and 6.8926 Å, with angles of 79.29, 77.70 and 62.08 degrees. The distinct sites, in fractional coordinates, are Na at (0.0000, 0.0000, 0.0000), Mg at (0.1948, 0.2691, 0.3595), Ni at (0.7862, 0.7295, 0.6857), O at (0.4530, 0.3359, 0.7395) and O at (0.5607, 0.6412, 0.2491).